Zn5SeS4: relaxed, r2SCAN.

Results
density: 4.4 g cm⁻³
ΔH_f (0 K): -934 meV/atom
E_tot: -10.03 eV per atom

a b c (Å): 3.848 3.848 27.206
angles (deg): 90.00 90.00 90.00
Space group I-4m2 (No. 119)
Symmetry-distinct sites (fractional):
1 Zn 0.000 0.000 0.000 x2
2 Zn 0.000 0.000 0.196 x4
3 Zn 0.000 0.000 0.402 x4
4 Se 0.000 0.500 0.250 x2
5 S 0.000 0.500 0.049 x4
6 S 0.000 0.500 0.647 x4